# Na5MgSiGe3P5O24 (GGA-PBE, relaxed)
data_Na5MgSiGe3P5O24
_chemical_formula_sum 'Na15 Mg3 Si3 Ge9 P15 O72'
_cell_length_a 8.6088
_cell_length_b 8.6416
_cell_length_c 21.6884
_cell_angle_alpha 90.02
_cell_angle_beta 90.11
_cell_angle_gamma 119.86
_space_group_name_H-M_alt 'P 1'
_space_group_IT_number 1
_space_group_name_Hall 'P 1'
loop_
_atom_site_label
_atom_site_type_symbol
_atom_site_fract_x
_atom_site_fract_y
_atom_site_fract_z
_atom_site_occupancy
Na1 Na 0.0000 0.0000 0.0000 1
Na2 Na 0.0018 0.7363 0.5022 1
Na3 Na 0.0066 0.3682 0.2503 1
Na4 Na 0.0094 0.3778 0.7549 1
Na5 Na 0.3165 0.7056 0.3367 1
Na6 Na 0.3400 0.0349 0.9143 1
Na7 Na 0.3431 0.0419 0.4158 1
Na8 Na 0.3745 0.7294 0.0000 1
Na9 Na 0.3790 0.3729 0.5023 1
Na10 Na 0.6385 0.9944 0.4998 1
Na11 Na 0.6456 0.3754 0.0003 1
Na12 Na 0.6675 0.6938 0.5907 1
Na13 Na 0.6726 0.6943 0.0862 1
Na14 Na 0.7121 0.0405 0.1691 1
Na15 Na 0.9764 0.0347 0.6738 1
Mg1 Mg 0.0107 0.3730 0.1085 1
Mg2 Mg 0.6722 0.7030 0.4358 1
Mg3 Mg 0.6726 0.7008 0.9341 1
Si1 Si 0.0500 0.7429 0.6718 1
Si2 Si 0.3467 0.3298 0.6713 1
Si3 Si 0.6753 0.9968 0.3364 1
Ge1 Ge 0.0087 0.3700 0.8969 1
Ge2 Ge 0.0107 0.3754 0.6115 1
Ge3 Ge 0.3343 0.0329 0.7730 1
Ge4 Ge 0.3379 0.0378 0.5744 1
Ge5 Ge 0.3390 0.0363 0.0692 1
Ge6 Ge 0.3427 0.0390 0.2729 1
Ge7 Ge 0.6703 0.6914 0.7353 1
Ge8 Ge 0.6760 0.7023 0.2354 1
Ge9 Ge 0.9992 0.3611 0.3964 1
P1 P 0.0074 0.6572 0.0044 1
P2 P 0.0096 0.0849 0.5045 1
P3 P 0.0523 0.0309 0.1718 1
P4 P 0.2911 0.6554 0.5041 1
P5 P 0.2946 0.3676 0.0043 1
P6 P 0.3381 0.7440 0.1716 1
P7 P 0.3811 0.7047 0.8362 1
P8 P 0.3824 0.4064 0.3367 1
P9 P 0.6260 0.0347 0.6707 1
P10 P 0.6258 0.3290 0.1716 1
P11 P 0.6712 0.4044 0.8368 1
P12 P 0.7170 0.0801 0.0048 1
P13 P 0.7198 0.3647 0.5048 1
P14 P 0.9643 0.7033 0.3367 1
P15 P 0.9668 0.9955 0.8365 1
O1 O 0.0263 0.1910 0.1672 1
O2 O 0.0279 0.5472 0.6627 1
O3 O 0.0513 0.2091 0.4474 1
O4 O 0.0530 0.5794 0.9459 1
O5 O 0.1280 0.8680 0.6075 1
O6 O 0.1317 0.9955 0.1113 1
O7 O 0.1544 0.8689 0.3276 1
O8 O 0.1555 0.0147 0.8294 1
O9 O 0.1590 0.3344 0.6615 1
O10 O 0.1711 0.3223 0.9456 1
O11 O 0.1722 0.5771 0.4447 1
O12 O 0.1737 0.0626 0.2279 1
O13 O 0.1760 0.5641 0.1671 1
O14 O 0.1825 0.8361 0.7288 1
O15 O 0.1829 0.0672 0.5083 1
O16 O 0.1834 0.8504 0.0099 1
O17 O 0.1908 0.5319 0.8411 1
O18 O 0.1956 0.3980 0.3421 1
O19 O 0.2029 0.5307 0.5595 1
O20 O 0.2149 0.4019 0.0602 1
O21 O 0.2951 0.1901 0.7273 1
O22 O 0.3098 0.8454 0.5096 1
O23 O 0.3120 0.1916 0.0094 1
O24 O 0.3119 0.8357 0.2289 1
O25 O 0.3565 0.2184 0.3272 1
O26 O 0.3639 0.8745 0.8280 1
O27 O 0.3829 0.2488 0.6063 1
O28 O 0.3846 0.8706 0.1128 1
O29 O 0.4650 0.5336 0.2800 1
O30 O 0.4674 0.6677 0.7788 1
O31 O 0.4770 0.6751 0.5006 1
O32 O 0.4838 0.5272 0.9971 1
O33 O 0.4851 0.7363 0.8957 1
O34 O 0.4877 0.4766 0.3961 1
O35 O 0.4930 0.0133 0.3265 1
O36 O 0.5038 0.2169 0.8272 1
O37 O 0.5095 0.2477 0.1110 1
O38 O 0.5136 0.9978 0.6089 1
O39 O 0.5166 0.7358 0.1762 1
O40 O 0.5184 0.5272 0.6777 1
O41 O 0.5232 0.0625 0.0098 1
O42 O 0.5305 0.1916 0.5092 1
O43 O 0.5369 0.2011 0.2265 1
O44 O 0.5438 0.0742 0.7259 1
O45 O 0.6223 0.8779 0.3974 1
O46 O 0.6373 0.4769 0.8957 1
O47 O 0.6388 0.5142 0.1784 1
O48 O 0.6513 0.8709 0.6762 1
O49 O 0.6892 0.8919 0.9975 1
O50 O 0.6972 0.5285 0.4998 1
O51 O 0.7095 0.9058 0.2742 1
O52 O 0.7110 0.5276 0.7794 1
O53 O 0.7980 0.2046 0.9473 1
O54 O 0.8013 0.3259 0.4465 1
O55 O 0.8065 0.3411 0.1664 1
O56 O 0.8156 0.2007 0.6619 1
O57 O 0.8268 0.1564 0.0628 1
O58 O 0.8425 0.6619 0.2791 1
O59 O 0.8428 0.4012 0.5610 1
O60 O 0.8450 0.3883 0.8420 1
O61 O 0.8474 0.6872 0.9968 1
O62 O 0.8465 0.8982 0.4999 1
O63 O 0.8477 0.9120 0.7774 1
O64 O 0.8544 0.1948 0.3413 1
O65 O 0.8561 0.7344 0.6782 1
O66 O 0.8631 0.8574 0.1760 1
O67 O 0.8922 0.8886 0.8950 1
O68 O 0.8941 0.7366 0.3961 1
O69 O 0.9714 0.1674 0.5619 1
O70 O 0.9716 0.5425 0.0601 1
O71 O 0.9843 0.1852 0.8412 1
O72 O 0.9937 0.5377 0.3419 1
# Final energy in Ha/atom: -0.241
# Calculated density in g cm⁻³: 3.29
# ΔH_f (0 K) in eV/atom: -2.547

# Ba2UHgO6 (GGA-PBE, relaxed)
data_Ba2UHgO6
_chemical_formula_sum 'Ba8 U4 Hg4 O24'
_cell_length_a 8.8426
_cell_length_b 8.8426
_cell_length_c 8.8426
_cell_angle_alpha 90.00
_cell_angle_beta 90.00
_cell_angle_gamma 90.00
_space_group_name_H-M_alt 'F m -3 m'
_space_group_IT_number 225
_space_group_name_Hall '-F 4 2 3'
loop_
_atom_site_label
_atom_site_type_symbol
_atom_site_fract_x
_atom_site_fract_y
_atom_site_fract_z
_atom_site_occupancy
Ba1 Ba 0.2500 0.2500 0.2500 1
U1 U 0.0000 0.0000 0.0000 1
Hg1 Hg 0.0000 0.0000 0.5000 1
O1 O 0.0000 0.0000 0.2350 1
# Final energy in Ha/atom: -0.257
# Calculated density in g cm⁻³: 7.77
# ΔH_f (0 K) in eV/atom: -2.905

# Sr2La3Ti2O10 (GGA-PBE, relaxed)
data_Sr2La3Ti2O10
_chemical_formula_sum 'Sr4 La6 Ti4 O20'
_cell_length_a 5.6003
_cell_length_b 6.8837
_cell_length_c 12.3824
_cell_angle_alpha 85.68
_cell_angle_beta 89.95
_cell_angle_gamma 89.98
_space_group_name_H-M_alt 'P 1'
_space_group_IT_number 1
_space_group_name_Hall 'P 1'
loop_
_atom_site_label
_atom_site_type_symbol
_atom_site_fract_x
_atom_site_fract_y
_atom_site_fract_z
_atom_site_occupancy
Sr1 Sr 0.0000 0.0000 0.0000 1
Sr2 Sr 0.0000 0.5001 0.1063 1
Sr3 Sr 0.5001 0.1296 0.1983 1
Sr4 Sr 0.5001 0.6297 0.3045 1
La1 La 0.0000 0.2273 0.7102 1
La2 La 0.0001 0.2573 0.3965 1
La3 La 0.0000 0.7822 0.5492 1
La4 La 0.4999 0.3723 0.9077 1
La5 La 0.5001 0.4026 0.5940 1
La6 La 0.5002 0.8479 0.7543 1
Ti1 Ti 0.0001 0.6244 0.8352 1
Ti2 Ti 0.0000 0.8638 0.2595 1
Ti3 Ti 0.5000 0.0051 0.4690 1
Ti4 Ti 0.5001 0.7660 0.0449 1
O1 O 0.9999 0.1594 0.2015 1
O2 O 0.0000 0.3398 0.9110 1
O3 O 0.0002 0.4526 0.5430 1
O4 O 0.0000 0.5764 0.3055 1
O5 O 0.0002 0.8919 0.7608 1
O6 O 0.2442 0.9259 0.3698 1
O7 O 0.2503 0.0875 0.5689 1
O8 O 0.2498 0.5423 0.7357 1
O9 O 0.2501 0.8149 0.1522 1
O10 O 0.2557 0.7038 0.9345 1
O11 O 0.5001 0.0530 0.9988 1
O12 O 0.4998 0.1772 0.7614 1
O13 O 0.5001 0.2904 0.3933 1
O14 O 0.5001 0.4705 0.1028 1
O15 O 0.4998 0.7375 0.5438 1
O16 O 0.7445 0.7038 0.9345 1
O17 O 0.7500 0.0874 0.5690 1
O18 O 0.7501 0.5423 0.7356 1
O19 O 0.7500 0.8149 0.1522 1
O20 O 0.7556 0.9259 0.3698 1
# Final energy in Ha/atom: -0.297
# Calculated density in g cm⁻³: 5.91
# ΔH_f (0 K) in eV/atom: -3.587

# BiP4O12 (GGA-PBE, relaxed)
data_BiP4O12
_chemical_formula_sum 'Bi2 P8 O24'
_cell_length_a 7.2844
_cell_length_b 8.6119
_cell_length_c 8.0226
_cell_angle_alpha 90.00
_cell_angle_beta 92.37
_cell_angle_gamma 90.00
_space_group_name_H-M_alt 'P 1 21 1'
_space_group_IT_number 4
_space_group_name_Hall 'P 2yb'
loop_
_atom_site_label
_atom_site_type_symbol
_atom_site_fract_x
_atom_site_fract_y
_atom_site_fract_z
_atom_site_occupancy
Bi1 Bi 0.2482 0.0000 0.2460 1
P1 P 0.0635 0.6250 0.4027 1
P2 P 0.1229 0.2505 0.9014 1
P3 P 0.3994 0.4214 0.3901 1
P4 P 0.4904 0.6477 0.1069 1
O1 O 0.0405 0.4047 0.8563 1
O2 O 0.0473 0.1170 0.7743 1
O3 O 0.0672 0.1023 0.4597 1
O4 O 0.1076 0.1931 0.0771 1
O5 O 0.1798 0.7695 0.4226 1
O6 O 0.1873 0.4733 0.3816 1
O7 O 0.3207 0.7468 0.1113 1
O8 O 0.3358 0.2579 0.8554 1
O9 O 0.4068 0.2596 0.3205 1
O10 O 0.4804 0.4427 0.5641 1
O11 O 0.4822 0.0461 0.0422 1
O12 O 0.4979 0.0395 0.7283 1
# Final energy in Ha/atom: -0.253
# Calculated density in g cm⁻³: 3.47
# Polymorph energy (0 for the lowest one) in meV/atom: 6
# ΔH_f (0 K) in eV/atom: -2.378

# V2H (GGA-PBE, relaxed)
data_V2H
_chemical_formula_sum 'V16 H8'
_cell_length_a 5.8997
_cell_length_b 5.8997
_cell_length_c 6.6717
_cell_angle_alpha 90.00
_cell_angle_beta 90.00
_cell_angle_gamma 90.00
_space_group_name_H-M_alt 'I 41/a m d'
_space_group_IT_number 141
loop_
_space_group_symop_operation_xyz
'x,y,z'
'-x,-y,-z'
'-y+1/4,x+3/4,z+1/4'
'y+1/4,-x+3/4,-z+1/4'
'-x+1/2,-y,z+1/2'
'x+1/2,y,-z+1/2'
'y+1/4,-x+1/4,z+3/4'
'-y+1/4,x+1/4,-z+3/4'
'x,-y,-z'
'-x,y,z'
'-y+1/4,-x+1/4,-z+3/4'
'y+1/4,x+1/4,z+3/4'
'-x+1/2,y,-z+1/2'
'x+1/2,-y,z+1/2'
'y+1/4,x+3/4,-z+1/4'
'-y+1/4,-x+3/4,z+1/4'
'x+1/2,y+1/2,z+1/2'
'-x+1/2,-y+1/2,-z+1/2'
'-y+3/4,x+1/4,z+3/4'
'y+3/4,-x+1/4,-z+3/4'
'-x,-y+1/2,z'
'x,y+1/2,-z'
'y+3/4,-x+3/4,z+1/4'
'-y+3/4,x+3/4,-z+1/4'
'x+1/2,-y+1/2,-z+1/2'
'-x+1/2,y+1/2,z+1/2'
'-y+3/4,-x+3/4,-z+1/4'
'y+3/4,x+3/4,z+1/4'
'-x,y+1/2,-z'
'x,-y+1/2,z'
'y+3/4,x+1/4,-z+3/4'
'-y+3/4,-x+1/4,z+3/4'
loop_
_atom_site_label
_atom_site_type_symbol
_atom_site_fract_x
_atom_site_fract_y
_atom_site_fract_z
_atom_site_occupancy
V1 V 0.0000 0.0015 0.2309 1
H1 H 0.0000 0.0000 0.5000 1
# Final energy in Ha/atom: -0.269
# Calculated density in g cm⁻³: 5.89
# ΔH_f (0 K) in eV/atom: -0.198

# CsMg14SiO16 (GGA-PBE, relaxed)
data_CsMg14SiO16
_chemical_formula_sum 'Cs1 Mg14 Si1 O16'
_cell_length_a 8.7903
_cell_length_b 8.7903
_cell_length_c 4.4683
_cell_angle_alpha 90.00
_cell_angle_beta 90.00
_cell_angle_gamma 90.00
_space_group_name_H-M_alt 'P 4/m m m'
_space_group_IT_number 123
_space_group_name_Hall '-P 4 2'
loop_
_atom_site_label
_atom_site_type_symbol
_atom_site_fract_x
_atom_site_fract_y
_atom_site_fract_z
_atom_site_occupancy
Cs1 Cs 0.0000 0.0000 0.0000 1
Mg1 Mg 0.0000 0.2621 0.5000 1
Mg2 Mg 0.0000 0.5000 0.0000 1
Mg3 Mg 0.2494 0.5000 0.5000 1
Mg4 Mg 0.2522 0.2522 0.0000 1
Si1 Si 0.5000 0.5000 0.0000 1
O1 O 0.0000 0.0000 0.5000 1
O2 O 0.0000 0.2868 0.0000 1
O3 O 0.0000 0.5000 0.5000 1
O4 O 0.2512 0.2512 0.5000 1
O5 O 0.2643 0.5000 0.0000 1
O6 O 0.5000 0.5000 0.5000 1
# Final energy in Ha/atom: -0.207
# Calculated density in g cm⁻³: 3.64
# Polymorph energy (0 for the lowest one) in meV/atom: 37
# ΔH_f (0 K) in eV/atom: -2.591

# Ce23Cd4Ir7 (GGA-PBE, relaxed)
data_Ce23Cd4Ir7
_chemical_formula_sum 'Ce46 Cd8 Ir14'
_cell_length_a 9.8646
_cell_length_b 9.8646
_cell_length_c 22.1341
_cell_angle_alpha 90.00
_cell_angle_beta 90.00
_cell_angle_gamma 120.00
_space_group_name_H-M_alt 'P 63 m c'
_space_group_IT_number 186
_space_group_name_Hall 'P 6c -2c'
loop_
_atom_site_label
_atom_site_type_symbol
_atom_site_fract_x
_atom_site_fract_y
_atom_site_fract_z
_atom_site_occupancy
Ce1 Ce 0.0000 0.0000 0.0508 1
Ce2 Ce 0.0767 0.5383 0.1383 1
Ce3 Ce 0.0848 0.5424 0.4108 1
Ce4 Ce 0.1313 0.2627 0.6907 1
Ce5 Ce 0.2020 0.4039 0.8370 1
Ce6 Ce 0.2049 0.4097 0.0000 1
Ce7 Ce 0.2050 0.4101 0.2728 1
Ce8 Ce 0.2103 0.4207 0.5456 1
Ce9 Ce 0.3333 0.6667 0.6932 1
Cd1 Cd 0.0000 0.0000 0.3026 1
Cd2 Cd 0.1065 0.2130 0.4171 1
Ir1 Ir 0.0386 0.5193 0.7643 1
Ir2 Ir 0.1448 0.2896 0.1180 1
Ir3 Ir 0.3333 0.6667 0.9193 1
# Final energy in Ha/atom: -0.232
# Calculated density in g cm⁻³: 8.93
# ΔH_f (0 K) in eV/atom: -0.381

# LiAgO2 (GGA-PBE, relaxed)
data_LiAgO2
_chemical_formula_sum 'Li2 Ag2 O4'
_cell_length_a 5.2653
_cell_length_b 3.1478
_cell_length_c 6.1942
_cell_angle_alpha 90.00
_cell_angle_beta 92.21
_cell_angle_gamma 90.00
_space_group_name_H-M_alt 'P 1 2/m 1'
_space_group_IT_number 10
_space_group_name_Hall '-P 2y'
loop_
_atom_site_label
_atom_site_type_symbol
_atom_site_fract_x
_atom_site_fract_y
_atom_site_fract_z
_atom_site_occupancy
Li1 Li 0.0253 0.0000 0.2312 1
Ag1 Ag 0.5000 0.5000 0.0000 1
Ag2 Ag 0.5000 0.5000 0.5000 1
O1 O 0.0926 0.5000 0.4128 1
O2 O 0.2523 0.0000 0.9848 1
# Final energy in Ha/atom: -0.161
# Calculated density in g cm⁻³: 4.75
# ΔH_f (0 K) in eV/atom: -0.808

# Al2B3HO8 (GGA-PBE, relaxed)
data_Al2B3HO8
_chemical_formula_sum 'Al8 B12 H4 O32'
_cell_length_a 7.6854
_cell_length_b 10.6035
_cell_length_c 8.9132
_cell_angle_alpha 90.00
_cell_angle_beta 90.00
_cell_angle_gamma 90.00
_space_group_name_H-M_alt 'P n m a'
_space_group_IT_number 62
_space_group_name_Hall '-P 2ac 2n'
loop_
_atom_site_label
_atom_site_type_symbol
_atom_site_fract_x
_atom_site_fract_y
_atom_site_fract_z
_atom_site_occupancy
Al1 Al 0.0622 0.1139 0.0699 1
B1 B 0.2300 0.7500 0.3432 1
B2 B 0.2453 0.0189 0.8009 1
H1 H 0.1758 0.7500 0.8188 1
O1 O 0.0716 0.7500 0.8820 1
O2 O 0.1175 0.0064 0.9122 1
O3 O 0.1811 0.2500 0.9767 1
O4 O 0.1836 0.6385 0.2743 1
O5 O 0.2043 0.0814 0.2205 1
# Final energy in Ha/atom: -0.278
# Calculated density in g cm⁻³: 1.97
# ΔH_f (0 K) in eV/atom: -2.916